The following is a DFT calculation (GGA+U) of MnH20C2S2N6O12 after structural relaxation.

ΔH_f (0 K) in eV/atom: -1.04
Magnetization in μB per formula unit: 5.00

Cell: 6.4444 6.4772 10.1436 Å, 89.63 84.03 70.44°
Closest atoms and distances in Å follow each position.
Space group P-1 (No. 2)
Unique sites:
Mn 0.0000 0.0000 0.0000 (multiplicity 1)  6 O 2.18-2.25
H 0.0860 0.3709 0.1113 (multiplicity 2)  1 O 0.99
H 0.1758 0.5687 0.8880 (multiplicity 2)  1 O 0.99
H 0.1830 0.0439 0.3287 (multiplicity 2)  1 N 1.02
H 0.2242 0.2965 0.3207 (multiplicity 2)  1 N 1.02
H 0.2465 0.9786 0.6718 (multiplicity 2)  1 N 1.02
H 0.2467 0.8488 0.5181 (multiplicity 2)  1 N 1.02
H 0.2597 0.4643 0.5063 (multiplicity 2)  1 N 1.02
H 0.3083 0.3284 0.6561 (multiplicity 2)  1 N 1.02
H 0.3830 0.0915 0.8715 (multiplicity 2)  1 O 0.99
H 0.4458 0.8296 0.8777 (multiplicity 2)  1 O 0.99
C 0.2305 0.1653 0.5057 (multiplicity 2)  3 N 1.34
S 0.3383 0.6411 0.2163 (multiplicity 2)  4 O 1.49-1.50
N 0.2015 0.1732 0.3769 (multiplicity 2)  2 H 1.02
N 0.2378 0.9845 0.5720 (multiplicity 2)  2 H 1.02
N 0.2464 0.3412 0.5665 (multiplicity 2)  2 H 1.02
O 0.0322 0.6885 0.9047 (multiplicity 2)  2 H 0.99
O 0.1708 0.8368 0.1656 (multiplicity 2)  1 S 1.49
O 0.2946 0.6446 0.3631 (multiplicity 2)  1 S 1.49
O 0.3212 0.9701 0.8784 (multiplicity 2)  2 H 0.99
O 0.3243 0.4341 0.1588 (multiplicity 2)  1 S 1.50
O 0.4346 0.3461 0.8224 (multiplicity 2)  1 S 1.50

The following is a DFT calculation (GGA+U) of Na2Mn3P2H2C8O18 after structural relaxation.

ΔH_f (0 K) in eV/atom: -1.46
Magnetization in μB per formula unit: 17.00

Cell: 5.9292 10.7245 15.6173 Å, 90.00 104.74 90.00°
Closest atoms and distances in Å follow each position.
Space group P2_1/c (No. 14)
Unique sites:
Na 0.1982 0.2475 0.3213 (multiplicity 4)  5 O 2.32-2.48
Mn 0.3339 0.5549 0.2423 (multiplicity 4)  6 O 2.15-2.33
Mn 0.5000 0.0000 0.5000 (multiplicity 2)  6 O 2.14-2.34
P 0.3871 0.6864 0.4548 (multiplicity 4)  3 O 1.52-1.61
H 0.4559 0.0667 0.9288 (multiplicity 4)  1 O 1.01
C 0.0273 0.5305 0.0469 (multiplicity 4)  2 O 1.26-1.28
C 0.0843 0.6668 0.4522 (multiplicity 4)  1 P 1.80
C 0.1805 0.5342 0.7442 (multiplicity 4)  2 O 1.26-1.27
C 0.3200 0.6544 0.7360 (multiplicity 4)  2 O 1.26-1.27
O 0.0360 0.0463 0.7641 (multiplicity 4)  1 C 1.26
O 0.1432 0.0664 0.4248 (multiplicity 4)  1 C 1.26
O 0.2082 0.7436 0.2232 (multiplicity 4)  1 C 1.27
O 0.2426 0.5391 0.0884 (multiplicity 4)  1 C 1.28
O 0.2976 0.0659 0.2595 (multiplicity 4)  1 C 1.27
O 0.4224 0.6771 0.9364 (multiplicity 4)  1 P 1.52
O 0.4322 0.5857 0.3912 (multiplicity 4)  1 P 1.54
O 0.4545 0.1567 0.9473 (multiplicity 4)  1 H 1.01
O 0.4644 0.1409 0.7574 (multiplicity 4)  1 C 1.26

The following is a DFT calculation (GGA+U) of MnH4C2O6 after structural relaxation.

E above lowest polymorph in meV per atom: 0
ΔH_f (0 K) in eV/atom: -1.53
Magnetization in μB per formula unit: 5.01

Cell: 5.7559 6.8767 8.2546 Å, 82.77 69.62 65.26°
Closest atoms and distances in Å follow each position.
Space group P-1 (No. 2)
Unique sites:
Mn 0.1759 0.2506 0.2500 (multiplicity 2)  6 O 2.21-2.22
H 0.0194 0.3249 0.8524 (multiplicity 2)  1 O 0.99
H 0.1734 0.3228 0.6473 (multiplicity 2)  1 O 0.99
H 0.3030 0.8251 0.3521 (multiplicity 2)  1 O 0.99
H 0.3563 0.8236 0.1471 (multiplicity 2)  1 O 0.99
C 0.2755 0.7484 0.8510 (multiplicity 2)  2 O 1.27
C 0.3751 0.7513 0.6490 (multiplicity 2)  2 O 1.27
O 0.0028 0.3954 0.7420 (multiplicity 2)  2 H 0.99
O 0.0426 0.7469 0.9260 (multiplicity 2)  1 C 1.27
O 0.2155 0.7529 0.5740 (multiplicity 2)  1 C 1.27
O 0.3592 0.8960 0.2420 (multiplicity 2)  2 H 0.99
O 0.3921 0.2480 0.4255 (multiplicity 2)  1 C 1.27
O 0.4345 0.7479 0.9256 (multiplicity 2)  1 C 1.27